! FeH4C3O8 (PBE+U, relaxed); values from VASP
&SYSTEM
  ibrav = 0, nat = 64, ntyp = 4
/
ATOMIC_SPECIES
Fe 55.84 Fe.upf
H 1.01 H.upf
C 12.01 C.upf
O 16.00 O.upf
ATOMIC_POSITIONS crystal
Fe 0.5175 0.8567 0.7600
Fe 0.4824 0.1433 0.2400
Fe 0.5176 0.3569 0.7597
Fe 0.4823 0.6431 0.2403
H 0.2229 0.4434 0.5646
H 0.2229 0.9433 0.5647
H 0.7771 0.0567 0.4353
H 0.7770 0.5566 0.4354
H 0.2331 0.9971 0.7351
H 0.2332 0.4972 0.7350
H 0.7668 0.5028 0.2650
H 0.7668 0.0028 0.2649
H 0.8321 0.0622 0.6939
H 0.8322 0.5622 0.6940
H 0.1678 0.4378 0.3060
H 0.1679 0.9378 0.3061
H 0.9965 0.1455 0.6332
H 0.9964 0.6455 0.6332
H 0.0036 0.3545 0.3668
H 0.0035 0.8545 0.3668
C 0.8768 0.4681 0.9905
C 0.8769 0.9681 0.9905
C 0.1231 0.0319 0.0095
C 0.1232 0.5318 0.0095
C 0.6162 0.2802 0.4864
C 0.6158 0.7800 0.4866
C 0.3842 0.2200 0.5134
C 0.3839 0.7198 0.5136
C 0.6100 0.2253 0.9830
C 0.6098 0.7252 0.9831
C 0.3902 0.2748 0.0168
C 0.3901 0.7747 0.0170
O 0.7984 0.4331 0.1004
O 0.7986 0.9330 0.1005
O 0.2014 0.0670 0.8995
O 0.2016 0.5669 0.8996
O 0.7726 0.4575 0.8535
O 0.7725 0.9575 0.8536
O 0.2275 0.0425 0.1464
O 0.2274 0.5425 0.1465
O 0.7043 0.3469 0.5831
O 0.7041 0.8468 0.5833
O 0.2959 0.1532 0.4167
O 0.2957 0.6531 0.4169
O 0.7017 0.2583 0.3695
O 0.7013 0.7581 0.3697
O 0.2987 0.2419 0.6303
O 0.2984 0.7418 0.6305
O 0.6964 0.2495 0.8672
O 0.6963 0.7494 0.8674
O 0.3037 0.2506 0.1326
O 0.3036 0.7505 0.1328
O 0.3129 0.3359 0.9253
O 0.3129 0.8358 0.9254
O 0.6872 0.1642 0.0745
O 0.6871 0.6641 0.0747
O 0.3142 0.4571 0.6686
O 0.3142 0.9570 0.6688
O 0.6858 0.0430 0.3312
O 0.6858 0.5429 0.3314
O 0.8511 0.1001 0.6061
O 0.8510 0.6000 0.6061
O 0.1490 0.3999 0.3939
O 0.1489 0.8999 0.3939
CELL_PARAMETERS angstrom
5.6097 -0.1114 -0.7465
-1.1664 13.7550 -0.4360
-0.0856 -0.0226 9.0837
! formation energy from the elements: -139 kJ/mol of atoms
! E_tot: -6.54 eV/atom